Below is PrMn2 after structural relaxation, with properties calculated at the PBE-GGA level.

Its spin magnetization is 2.4 μB/f.u. The calculation puts the formation enthalpy at 0 K at 0.212 eV/atom. As for the volume: 56.2 Å³/f.u.

The space group is P6_3/mmc (No. 194) and the conventional cell measures 5.5561, 5.5561 and 8.4069 Å, with angles of 90.00, 90.00 and 120.00 degrees. Symmetry generates all atoms from Pr at (0.3333, 0.6667, 0.0573), Mn at (0.0000, 0.0000, 0.0000) and Mn at (0.1610, 0.3220, 0.7500).